# LiCu2C2O7, relaxed, DFT GGA-PBE
data_LiCu2C2O7
_chemical_formula_sum 'Li2 Cu4 C4 O14'
_cell_length_a 4.814
_cell_length_b 4.834
_cell_length_c 15.243
_cell_angle_alpha 89.66
_cell_angle_beta 89.62
_cell_angle_gamma 60.27
_symmetry_space_group_name_H-M 'P 1'
_symmetry_Int_Tables_number 1
_symmetry_space_group_name_Hall 'P 1'
loop_
_atom_site_label
_atom_site_type_symbol
_atom_site_fract_x
_atom_site_fract_y
_atom_site_fract_z
Li1 Li 0.000 0.000 0.000
Li2 Li 0.000 0.000 0.500
Cu1 Cu 0.331 0.334 0.365
Cu2 Cu 0.332 0.338 0.135
Cu3 Cu 0.668 0.662 0.865
Cu4 Cu 0.669 0.666 0.635
C1 C 0.335 0.331 0.589
C2 C 0.336 0.330 0.911
C3 C 0.664 0.670 0.089
C4 C 0.665 0.669 0.411
O1 O 0.074 0.313 0.586
O2 O 0.078 0.609 0.913
O3 O 0.315 0.073 0.913
O4 O 0.316 0.606 0.591
O5 O 0.348 0.309 0.250
O6 O 0.386 0.689 0.086
O7 O 0.388 0.926 0.413
O8 O 0.612 0.074 0.587
O9 O 0.614 0.311 0.914
O10 O 0.677 0.679 0.751
O11 O 0.684 0.394 0.409
O12 O 0.685 0.927 0.087
O13 O 0.922 0.391 0.087
O14 O 0.926 0.687 0.414
# V in Å³ per atom: 12.84
# ΔE_f in eV per atom: -1.449